## 1
## BaSrInWO6 (PBE with a Hubbard U)

Data for BaSrInWO6 after structural relaxation.

```
BaSrInWO6
1.0
5.868 0.000 0.000
-0.007 5.873 0.000
-0.018 -0.002 8.382
Ba Sr In W O
2 2 2 2 12
direct
0.005 0.001 0.250 Ba
0.995 0.999 0.750 Ba
0.493 0.497 0.750 Sr
0.507 0.503 0.250 Sr
0.000 0.500 0.500 In
0.500 0.000 0.000 In
0.000 0.500 0.000 W
0.500 0.000 0.500 W
0.003 0.471 0.757 O
0.230 0.747 0.983 O
0.250 0.769 0.520 O
0.261 0.280 0.019 O
0.281 0.258 0.484 O
0.498 0.041 0.743 O
0.502 0.959 0.257 O
0.719 0.742 0.516 O
0.739 0.720 0.981 O
0.750 0.231 0.480 O
0.770 0.253 0.017 O
0.997 0.529 0.243 O
```


## 2
## BaSrInWO6 (PBE with a Hubbard U)

Data for BaSrInWO6 after structural relaxation.

```
BaSrInWO6
1.0
0.000 4.165 4.165
4.165 0.000 4.165
4.165 4.165 0.000
Ba Sr In W O
1 1 1 1 6
direct
0.000 0.000 0.000 Ba
0.500 0.500 0.500 Sr
0.750 0.750 0.750 In
0.250 0.250 0.250 W
0.009 0.009 0.491 O
0.009 0.491 0.009 O
0.009 0.491 0.491 O
0.491 0.009 0.009 O
0.491 0.009 0.491 O
0.491 0.491 0.009 O
```


Energetically preferred structure: 1 | next structure: +92 meV per atom